Record 1
Below is crystalline MgMo2O4 at its relaxed geometry, with properties calculated at the PBE with a Hubbard U level.

a = 5.5146 Å, b = 6.3738 Å, c = 10.5500 Å
α = 90.00°, β = 90.00°, γ = 90.00°
Closest atoms and distances in Å follow each position.
Fractional coordinates of all 28 atoms:
Mg  0.6413  0.0000  0.0000  2 O 2.05
Mg  0.3587  0.5000  0.5000  2 O 2.05
Mg  0.9664  0.0000  0.5000  6 O 2.15-2.39
Mg  0.0336  0.5000  0.0000  6 O 2.15-2.39
Mo  0.9810  0.5000  0.2709  6 O 2.13-2.29
Mo  0.9810  0.5000  0.7291  6 O 2.13-2.29
Mo  0.0190  0.0000  0.2291  6 O 2.13-2.29
Mo  0.0190  0.0000  0.7709  6 O 2.13-2.29
Mo  0.5000  0.2500  0.2500  6 O 2.12-2.22
Mo  0.5000  0.7500  0.7500  6 O 2.12-2.22
Mo  0.5000  0.7500  0.2500  6 O 2.12-2.22
Mo  0.5000  0.2500  0.7500  6 O 2.12-2.22
O  0.6267  0.5000  0.3654  1 Mg 2.05, 3 Mo 2.12-2.19
O  0.6267  0.5000  0.6346  1 Mg 2.05, 3 Mo 2.12-2.19
O  0.3733  0.0000  0.1346  1 Mg 2.05, 3 Mo 2.12-2.19
O  0.3733  0.0000  0.8654  1 Mg 2.05, 3 Mo 2.12-2.19
O  0.2935  0.5000  0.1522  3 Mo 2.13-2.21, 1 Mg 2.15
O  0.2935  0.5000  0.8478  3 Mo 2.13-2.21, 1 Mg 2.15
O  0.7065  0.0000  0.3478  3 Mo 2.13-2.21, 1 Mg 2.15
O  0.7065  0.0000  0.6522  3 Mo 2.13-2.21, 1 Mg 2.15
O  0.8356  0.2512  0.1346  3 Mo 2.14-2.29, 2 Mg 2.39
O  0.8356  0.7488  0.8654  3 Mo 2.14-2.29, 2 Mg 2.39
O  0.1644  0.7512  0.3654  3 Mo 2.14-2.29, 2 Mg 2.39
O  0.1644  0.2488  0.6346  3 Mo 2.14-2.29, 2 Mg 2.39
O  0.1644  0.2488  0.3654  3 Mo 2.14-2.29, 2 Mg 2.39
O  0.1644  0.7512  0.6346  3 Mo 2.14-2.29, 2 Mg 2.39
O  0.8356  0.7488  0.1346  3 Mo 2.14-2.29, 2 Mg 2.39
O  0.8356  0.2512  0.8654  3 Mo 2.14-2.29, 2 Mg 2.39

Space group ... Pmmn, No. 59
Energy of formation ... -13.8 eV per formula unit
Excess energy over the best structure of this formula in the dataset ... 1.27 eV/f.u.
Corrected total energy (MP2020 scheme) ... -8.13 eV/atom

=====

Record 2
Below is crystalline MgMo3O7 at its relaxed geometry, with properties calculated at the PBE with a Hubbard U level.

a = 5.7651 Å, b = 9.9527 Å, c = 11.0304 Å
α = 90.00°, β = 90.00°, γ = 90.00°
Closest atoms and distances in Å follow each position.
Fractional coordinates of all 44 atoms:
Mg  0.3779  0.0665  0.2500  3 O 2.01-2.02
Mg  0.8779  0.4335  0.7500  3 O 2.01-2.02
Mg  0.6221  0.9335  0.7500  3 O 2.01-2.02
Mg  0.1221  0.5665  0.2500  3 O 2.01-2.02
Mo  0.6972  0.6728  0.9802  1 O 1.83
Mo  0.1972  0.8272  0.0198  1 O 1.83
Mo  0.3028  0.3272  0.4802  1 O 1.83
Mo  0.8028  0.1728  0.5198  1 O 1.83
Mo  0.7094  0.7957  0.2500  3 O 1.84-2.04
Mo  0.2094  0.7043  0.7500  3 O 1.84-2.04
Mo  0.2906  0.2043  0.7500  3 O 1.84-2.04
Mo  0.7906  0.2957  0.2500  3 O 1.84-2.04
Mo  0.1972  0.8272  0.4802  1 O 1.83
Mo  0.6972  0.6728  0.5198  1 O 1.83
Mo  0.8028  0.1728  0.9802  1 O 1.83
Mo  0.3028  0.3272  0.0198  1 O 1.83
O  0.0544  0.2776  0.8826  3 Mo 2.09-2.14
O  0.5544  0.2224  0.1174  3 Mo 2.09-2.14
O  0.9456  0.7224  0.3826  3 Mo 2.09-2.14
O  0.4456  0.7776  0.6174  3 Mo 2.09-2.14
O  0.9456  0.7224  0.1174  3 Mo 2.09-2.14
O  0.4456  0.7776  0.8826  3 Mo 2.09-2.14
O  0.0544  0.2776  0.6174  3 Mo 2.09-2.14
O  0.5544  0.2224  0.3826  3 Mo 2.09-2.14
O  0.5203  0.2542  0.8833  3 Mo 2.04-2.11
O  0.0203  0.2458  0.1167  3 Mo 2.04-2.11
O  0.4797  0.7458  0.3833  3 Mo 2.04-2.11
O  0.9797  0.7542  0.6167  3 Mo 2.04-2.11
O  0.4797  0.7458  0.1167  3 Mo 2.04-2.11
O  0.9797  0.7542  0.8833  3 Mo 2.04-2.11
O  0.5203  0.2542  0.6167  3 Mo 2.04-2.11
O  0.0203  0.2458  0.3833  3 Mo 2.04-2.11
O  0.8040  0.4804  0.2500  1 Mo 1.84, 1 Mg 2.02
O  0.3040  0.0196  0.7500  1 Mo 1.84, 1 Mg 2.02
O  0.1960  0.5196  0.7500  1 Mo 1.84, 1 Mg 2.02
O  0.6960  0.9804  0.2500  1 Mo 1.84, 1 Mg 2.02
O  0.7701  0.0135  0.6012  1 Mo 1.83, 1 Mg 2.01
O  0.2701  0.4865  0.3988  1 Mo 1.83, 1 Mg 2.01
O  0.2299  0.9865  0.1012  1 Mo 1.83, 1 Mg 2.01
O  0.7299  0.5135  0.8988  1 Mo 1.83, 1 Mg 2.01
O  0.2299  0.9865  0.3988  1 Mo 1.83, 1 Mg 2.01
O  0.7299  0.5135  0.6012  1 Mo 1.83, 1 Mg 2.01
O  0.7701  0.0135  0.8988  1 Mo 1.83, 1 Mg 2.01
O  0.2701  0.4865  0.1012  1 Mo 1.83, 1 Mg 2.01

Space group ... Pnma, No. 62
Energy of formation ... -20.4 eV per formula unit
Corrected total energy (MP2020 scheme) ... -8.11 eV/atom

=====

Record 3
Below is crystalline MgMo2O4 at its relaxed geometry, with properties calculated at the PBE with a Hubbard U level.

a = 7.9349 Å, b = 7.9349 Å, c = 9.9203 Å
α = 51.42°, β = 51.42°, γ = 23.02°
Closest atoms and distances in Å follow each position.
Fractional coordinates of all 14 atoms:
Mg  0.6893  0.6893  0.2955  5 O 2.10-2.14
Mg  0.3107  0.3107  0.7045  5 O 2.10-2.14
Mo  0.3649  0.3649  0.9489  6 O 2.10-2.32
Mo  0.8569  0.8569  0.3180  6 O 2.09-2.33
Mo  0.1431  0.1431  0.6820  6 O 2.09-2.33
Mo  0.6351  0.6351  0.0511  6 O 2.10-2.32
O  0.1378  0.1378  0.9074  1 Mg 2.10, 3 Mo 2.11-2.18
O  0.5370  0.5370  0.7377  3 Mo 2.09-2.10
O  0.4630  0.4630  0.2623  3 Mo 2.09-2.10
O  0.8622  0.8622  0.0926  1 Mg 2.10, 3 Mo 2.11-2.18
O  0.8268  0.8268  0.8293  2 Mg 2.12, 3 Mo 2.27-2.32
O  0.2205  0.2205  0.4047  2 Mg 2.14, 3 Mo 2.19-2.33
O  0.1732  0.1732  0.1707  2 Mg 2.12, 3 Mo 2.27-2.32
O  0.7795  0.7795  0.5953  2 Mg 2.14, 3 Mo 2.19-2.33

Space group ... C2/m, No. 12
Energy of formation ... -14.0 eV per formula unit
Excess energy over the best structure of this formula in the dataset ... 1.06 eV/f.u.
Corrected total energy (MP2020 scheme) ... -8.16 eV/atom

=====

Record 4
Below is crystalline Mg3Mo2O7 at its relaxed geometry, with properties calculated at the PBE with a Hubbard U level.

a = 9.7435 Å, b = 9.7435 Å, c = 5.4148 Å
α = 90.00°, β = 90.00°, γ = 148.08°
Closest atoms and distances in Å follow each position.
Fractional coordinates of all 24 atoms:
Mg  0.2678  0.2678  0.2775  4 O 2.04-2.11
Mg  0.7322  0.7322  0.7775  4 O 2.04-2.11
Mg  0.0198  0.4202  0.1975  4 O 2.01-2.07
Mg  0.9802  0.5798  0.6975  4 O 2.01-2.07
Mg  0.4202  0.0198  0.1975  4 O 2.01-2.07
Mg  0.5798  0.9802  0.6975  4 O 2.01-2.07
Mo  0.8540  0.6443  0.2466  6 O 2.02-2.13
Mo  0.1460  0.3557  0.7466  6 O 2.02-2.13
Mo  0.3557  0.1460  0.7466  6 O 2.02-2.13
Mo  0.6443  0.8540  0.2466  6 O 2.02-2.13
O  0.6580  0.0738  0.3256  3 Mg 2.01-2.07, 1 Mo 2.07
O  0.3420  0.9262  0.8256  3 Mg 2.01-2.07, 1 Mo 2.07
O  0.9262  0.3420  0.8256  3 Mg 2.01-2.07, 1 Mo 2.07
O  0.0738  0.6580  0.3256  3 Mg 2.01-2.07, 1 Mo 2.07
O  0.4471  0.7165  0.9293  2 Mo 2.02-2.11, 1 Mg 2.05
O  0.5529  0.2835  0.4293  2 Mo 2.02-2.11, 1 Mg 2.05
O  0.2835  0.5529  0.4293  2 Mo 2.02-2.11, 1 Mg 2.05
O  0.7165  0.4471  0.9293  2 Mo 2.02-2.11, 1 Mg 2.05
O  0.0121  0.1675  0.0755  2 Mo 2.04-2.11, 1 Mg 2.06
O  0.9879  0.8325  0.5755  2 Mo 2.04-2.11, 1 Mg 2.06
O  0.6274  0.6274  0.1537  2 Mg 2.04-2.11, 2 Mo 2.13
O  0.3726  0.3726  0.6537  2 Mg 2.04-2.11, 2 Mo 2.13
O  0.1675  0.0121  0.0755  2 Mo 2.04-2.11, 1 Mg 2.06
O  0.8325  0.9879  0.5755  2 Mo 2.04-2.11, 1 Mg 2.06

Space group ... Cmc2_1, No. 36
Energy of formation ... -28.9 eV per formula unit
Corrected total energy (MP2020 scheme) ... -7.51 eV/atom

=====

Record 5
Below is crystalline MgMo2O4 at its relaxed geometry, with properties calculated at the PBE with a Hubbard U level.

a = 3.1402 Å, b = 9.6145 Å, c = 11.0280 Å
α = 90.00°, β = 90.00°, γ = 90.00°
Closest atoms and distances in Å follow each position.
Fractional coordinates of all 28 atoms:
Mg  0.7500  0.7481  0.8423  7 O 2.16-2.40
Mg  0.2500  0.2519  0.1577  7 O 2.16-2.40
Mg  0.7500  0.2481  0.6577  7 O 2.16-2.40
Mg  0.2500  0.7519  0.3423  7 O 2.16-2.40
Mo  0.2500  0.8982  0.5986  6 O 2.09-2.24
Mo  0.7500  0.6018  0.0986  6 O 2.09-2.24
Mo  0.2500  0.3982  0.9014  6 O 2.09-2.24
Mo  0.7500  0.1018  0.4014  6 O 2.09-2.24
Mo  0.7500  0.0497  0.8780  6 O 2.10-2.20
Mo  0.2500  0.9503  0.1220  6 O 2.10-2.20
Mo  0.7500  0.5497  0.6220  6 O 2.10-2.20
Mo  0.2500  0.4503  0.3780  6 O 2.10-2.20
O  0.2500  0.3999  0.5714  3 Mo 2.19-2.20, 2 Mg 2.35
O  0.7500  0.6001  0.4286  3 Mo 2.19-2.20, 2 Mg 2.35
O  0.2500  0.8999  0.9286  3 Mo 2.19-2.20, 2 Mg 2.35
O  0.7500  0.1001  0.0714  3 Mo 2.19-2.20, 2 Mg 2.35
O  0.2500  0.5753  0.2218  3 Mo 2.09-2.10, 1 Mg 2.16
O  0.7500  0.4247  0.7782  3 Mo 2.09-2.10, 1 Mg 2.16
O  0.2500  0.0753  0.2782  3 Mo 2.09-2.10, 1 Mg 2.16
O  0.7500  0.9247  0.7218  3 Mo 2.09-2.10, 1 Mg 2.16
O  0.2500  0.1189  0.5457  3 Mo 2.20-2.24, 2 Mg 2.35
O  0.7500  0.8811  0.4543  3 Mo 2.20-2.24, 2 Mg 2.35
O  0.2500  0.6189  0.9543  3 Mo 2.20-2.24, 2 Mg 2.35
O  0.7500  0.3811  0.0457  3 Mo 2.20-2.24, 2 Mg 2.35
O  0.7500  0.3099  0.3145  3 Mo 2.19-2.22, 2 Mg 2.40
O  0.2500  0.6901  0.6855  3 Mo 2.19-2.22, 2 Mg 2.40
O  0.2500  0.1901  0.8145  3 Mo 2.19-2.22, 2 Mg 2.40
O  0.7500  0.8099  0.1855  3 Mo 2.19-2.22, 2 Mg 2.40

Space group ... Pnma, No. 62
Energy of formation ... -14.2 eV per formula unit
Excess energy over the best structure of this formula in the dataset ... 0.89 eV/f.u.
Corrected total energy (MP2020 scheme) ... -8.18 eV/atom

=====

Record 6
Below is crystalline MgMo2O4 at its relaxed geometry, with properties calculated at the PBE with a Hubbard U level.

a = 3.1176 Å, b = 10.3199 Å, c = 10.3796 Å
α = 90.01°, β = 90.00°, γ = 89.99°
Closest atoms and distances in Å follow each position.
Fractional coordinates of all 28 atoms:
Mg  0.2615  0.7500  0.1423  2 O 2.06-2.07
Mg  0.2614  0.2502  0.3575  2 O 2.06-2.07
Mg  0.7386  0.7498  0.6425  2 O 2.06-2.07
Mg  0.7384  0.2500  0.8577  2 O 2.06-2.07
Mo  0.7527  0.5736  0.3821  6 O 2.15-2.21
Mo  0.7528  0.0736  0.1180  6 O 2.15-2.21
Mo  0.2472  0.0737  0.6179  6 O 2.15-2.21
Mo  0.7528  0.4264  0.1179  6 O 2.15-2.21
Mo  0.2473  0.4264  0.6179  6 O 2.15-2.21
Mo  0.7528  0.9263  0.3821  6 O 2.15-2.21
Mo  0.2473  0.9263  0.8820  6 O 2.15-2.21
Mo  0.2472  0.5736  0.8821  6 O 2.15-2.21
O  0.2531  0.8843  0.5210  3 Mo 2.17-2.20, 1 Mg 2.41
O  0.7470  0.1157  0.4790  3 Mo 2.17-2.20, 1 Mg 2.41
O  0.2531  0.9999  0.2500  4 Mo 2.21
O  0.7471  0.8843  0.0210  3 Mo 2.17-2.20, 1 Mg 2.41
O  0.7469  0.6157  0.0210  3 Mo 2.17-2.20, 1 Mg 2.41
O  0.7590  0.2501  0.2276  2 Mg 2.06-2.07, 2 Mo 2.15
O  0.2529  0.1157  0.9790  3 Mo 2.17-2.20, 1 Mg 2.41
O  0.2410  0.2501  0.7277  2 Mg 2.06-2.07, 2 Mo 2.15
O  0.2531  0.4999  0.2500  4 Mo 2.21
O  0.7469  0.0001  0.7500  4 Mo 2.21
O  0.2528  0.6157  0.5210  3 Mo 2.17-2.20, 1 Mg 2.41
O  0.2410  0.7499  0.7724  2 Mg 2.06-2.07, 2 Mo 2.15
O  0.7590  0.7499  0.2723  2 Mg 2.06-2.07, 2 Mo 2.15
O  0.7469  0.5000  0.7500  4 Mo 2.21
O  0.2531  0.3843  0.9790  3 Mo 2.17-2.20, 1 Mg 2.41
O  0.7471  0.3843  0.4790  3 Mo 2.17-2.20, 1 Mg 2.41

Space group ... Pbcm, No. 57
Energy of formation ... -14.2 eV per formula unit
Excess energy over the best structure of this formula in the dataset ... 0.85 eV/f.u.
Corrected total energy (MP2020 scheme) ... -8.19 eV/atom

=====

Question: Look up the corrected total energy (MP2020 scheme) of the first one.
Answer: -8.13 eV/atom